Mn3SbO8: optimized geometry, GGA+U.

Output
Space group ... R-3m
Formation enthalpy at 0 K ... -21.25 eV/f.u.
Total energy ... -6.83 eV/atom

Cell and atoms, written as CIF:
```
data_Mn3SbO8
_chemical_formula_sum 'Mn3 Sb1 O8'
_cell_length_a 5.9885
_cell_length_b 5.9885
_cell_length_c 5.9885
_cell_angle_alpha 61.01
_cell_angle_beta 61.01
_cell_angle_gamma 61.01
_space_group_name_H-M_alt 'P 1'
_space_group_IT_number 1
loop_
_space_group_symop_operation_xyz
'x,y,z'
loop_
_atom_site_label
_atom_site_type_symbol
_atom_site_fract_x
_atom_site_fract_y
_atom_site_fract_z
Mn1 Mn 0.0000 0.5000 0.5000
Mn2 Mn 0.5000 0.0000 0.5000
Mn3 Mn 0.5000 0.5000 0.0000
Sb1 Sb 0.0000 0.0000 0.0000
O1 O 0.2347 0.2347 0.7357
O2 O 0.2347 0.7357 0.2347
O3 O 0.2643 0.7653 0.7653
O4 O 0.2731 0.2731 0.2731
O5 O 0.7269 0.7269 0.7269
O6 O 0.7357 0.2347 0.2347
O7 O 0.7653 0.2643 0.7653
O8 O 0.7653 0.7653 0.2643
```

***

MnSbO4: optimized geometry, GGA+U.

Output
Formation enthalpy at 0 K ... -11.42 eV/f.u.
Total energy ... -6.68 eV/atom

Cell and atoms, written as CIF:
```
data_MnSbO4
_chemical_formula_sum 'Mn4 Sb4 O16'
_cell_length_a 5.6583
_cell_length_b 5.6458
_cell_length_c 9.7996
_cell_angle_alpha 90.00
_cell_angle_beta 90.23
_cell_angle_gamma 90.01
_space_group_name_H-M_alt 'P 1'
_space_group_IT_number 1
loop_
_space_group_symop_operation_xyz
'x,y,z'
loop_
_atom_site_label
_atom_site_type_symbol
_atom_site_fract_x
_atom_site_fract_y
_atom_site_fract_z
Mn1 Mn 0.4758 0.9998 0.5081
Mn2 Mn 0.7741 0.4997 0.7419
Mn3 Mn 0.9758 0.9997 0.0081
Mn4 Mn 0.2743 0.4998 0.2418
Sb1 Sb 0.4952 0.2503 0.9951
Sb2 Sb 0.9954 0.2504 0.4951
Sb3 Sb 0.7549 0.7504 0.2549
Sb4 Sb 0.2547 0.7504 0.7549
O1 O 0.1997 0.2734 0.0998
O2 O 0.6999 0.2732 0.5999
O3 O 0.4516 0.7255 0.3500
O4 O 0.9514 0.7257 0.8501
O5 O 0.7985 0.2256 0.9000
O6 O 0.2986 0.2257 0.3999
O7 O 0.0503 0.7735 0.1502
O8 O 0.5501 0.7733 0.6501
O9 O 0.2976 0.9997 0.9015
O10 O 0.7977 0.9996 0.4015
O11 O 0.5748 0.5014 0.1405
O12 O 0.0746 0.5013 0.6407
O13 O 0.4522 0.4996 0.8486
O14 O 0.9524 0.4997 0.3485
O15 O 0.6752 0.0013 0.1095
O16 O 0.1752 0.0013 0.6093
```

***

Mn3SbO8: optimized geometry, GGA+U.

Output
Space group ... C2/m
Formation enthalpy at 0 K ... -21.18 eV/f.u.
Total energy ... -6.82 eV/atom

Cell and atoms, written as CIF:
```
data_Mn3SbO8
_chemical_formula_sum 'Mn3 Sb1 O8'
_cell_length_a 6.0477
_cell_length_b 6.0477
_cell_length_c 6.0904
_cell_angle_alpha 119.89
_cell_angle_beta 119.89
_cell_angle_gamma 61.03
_space_group_name_H-M_alt 'P 1'
_space_group_IT_number 1
loop_
_space_group_symop_operation_xyz
'x,y,z'
loop_
_atom_site_label
_atom_site_type_symbol
_atom_site_fract_x
_atom_site_fract_y
_atom_site_fract_z
Mn1 Mn 0.0000 0.0000 0.0000
Mn2 Mn 0.0000 0.5000 0.0000
Mn3 Mn 0.5000 0.0000 0.0000
Sb1 Sb 0.5000 0.5000 0.0000
O1 O 0.2265 0.2265 0.1786
O2 O 0.2392 0.7171 0.2004
O3 O 0.2593 0.2593 0.7982
O4 O 0.2829 0.7608 0.7996
O5 O 0.7171 0.2392 0.2004
O6 O 0.7407 0.7407 0.2018
O7 O 0.7608 0.2829 0.7996
O8 O 0.7735 0.7735 0.8214
```

***

Mn3SbO8: optimized geometry, GGA+U.

Output
Space group ... P6_3mc
Formation enthalpy at 0 K ... -21.76 eV/f.u.
Total energy ... -6.87 eV/atom

Cell and atoms, written as CIF:
```
data_Mn3SbO8
_chemical_formula_sum 'Mn6 Sb2 O16'
_cell_length_a 5.9103
_cell_length_b 5.9103
_cell_length_c 9.3009
_cell_angle_alpha 90.00
_cell_angle_beta 90.00
_cell_angle_gamma 120.00
_space_group_name_H-M_alt 'P 1'
_space_group_IT_number 1
loop_
_space_group_symop_operation_xyz
'x,y,z'
loop_
_atom_site_label
_atom_site_type_symbol
_atom_site_fract_x
_atom_site_fract_y
_atom_site_fract_z
Mn1 Mn 0.1675 0.3350 0.0000
Mn2 Mn 0.1675 0.8325 0.0000
Mn3 Mn 0.3350 0.1675 0.5000
Mn4 Mn 0.6650 0.8325 0.0000
Mn5 Mn 0.8325 0.1675 0.5000
Mn6 Mn 0.8325 0.6650 0.5000
Sb1 Sb 0.3333 0.6667 0.2780
Sb2 Sb 0.6667 0.3333 0.7780
O1 O 0.0000 0.0000 0.0948
O2 O 0.0000 0.0000 0.5948
O3 O 0.0375 0.5188 0.1284
O4 O 0.1663 0.3327 0.3884
O5 O 0.1663 0.8337 0.3884
O6 O 0.3327 0.1663 0.8884
O7 O 0.3333 0.6667 0.9008
O8 O 0.4812 0.5188 0.1284
O9 O 0.4812 0.9625 0.1284
O10 O 0.5188 0.0375 0.6284
O11 O 0.5188 0.4812 0.6284
O12 O 0.6667 0.3333 0.4008
O13 O 0.6673 0.8337 0.3884
O14 O 0.8337 0.1663 0.8884
O15 O 0.8337 0.6673 0.8884
O16 O 0.9625 0.4812 0.6284
```

***

MnSb2O6: optimized geometry, GGA+U.

Output
Largest piezoelectric modulus ... 0.115 C/m²
Formation enthalpy at 0 K ... -17.81 eV/f.u.
Total energy ... -6.57 eV/atom

Cell and atoms, written as CIF:
```
data_MnSb2O6
_chemical_formula_sum 'Mn6 Sb12 O36'
_cell_length_a 8.9491
_cell_length_b 9.6124
_cell_length_c 8.9491
_cell_angle_alpha 90.00
_cell_angle_beta 120.00
_cell_angle_gamma 90.00
_space_group_name_H-M_alt 'P 1'
_space_group_IT_number 1
loop_
_space_group_symop_operation_xyz
'x,y,z'
loop_
_atom_site_label
_atom_site_type_symbol
_atom_site_fract_x
_atom_site_fract_y
_atom_site_fract_z
Mn1 Mn 0.6331 0.5000 0.0000
Mn2 Mn 0.0000 0.0000 0.6331
Mn3 Mn 0.0000 0.5000 0.6331
Mn4 Mn 0.3669 0.0000 0.3669
Mn5 Mn 0.3669 0.5000 0.3669
Mn6 Mn 0.6331 0.0000 0.0000
Sb1 Sb 0.0000 0.0000 0.0000
Sb2 Sb 0.0000 0.5000 0.0000
Sb3 Sb 0.3333 0.2455 0.6667
Sb4 Sb 0.3333 0.7455 0.6667
Sb5 Sb 0.6667 0.2545 0.3333
Sb6 Sb 0.6667 0.7545 0.3333
Sb7 Sb 0.3050 0.2500 0.0000
Sb8 Sb 0.3050 0.7500 0.0000
Sb9 Sb 0.6950 0.2500 0.6950
Sb10 Sb 0.6950 0.7500 0.6950
Sb11 Sb 0.0000 0.2500 0.3050
Sb12 Sb 0.0000 0.7500 0.3050
O1 O 0.2246 0.3586 0.7790
O2 O 0.2246 0.8586 0.7790
O3 O 0.5544 0.3586 0.7754
O4 O 0.5544 0.8586 0.7754
O5 O 0.2210 0.3586 0.4456
O6 O 0.2210 0.8586 0.4456
O7 O 0.7754 0.1414 0.5544
O8 O 0.7754 0.6414 0.5544
O9 O 0.4456 0.1414 0.2210
O10 O 0.4456 0.6414 0.2210
O11 O 0.7790 0.1414 0.2246
O12 O 0.7790 0.6414 0.2246
O13 O 0.4720 0.1346 0.5891
O14 O 0.4720 0.6346 0.5891
O15 O 0.1171 0.1346 0.5280
O16 O 0.1171 0.6346 0.5280
O17 O 0.4109 0.1346 0.8829
O18 O 0.4109 0.6346 0.8829
O19 O 0.5280 0.3654 0.1171
O20 O 0.5280 0.8654 0.1171
O21 O 0.5891 0.3654 0.4720
O22 O 0.5891 0.8654 0.4720
O23 O 0.8829 0.3654 0.4109
O24 O 0.8829 0.8654 0.4109
O25 O 0.8898 0.3819 0.1033
O26 O 0.8898 0.8819 0.1033
O27 O 0.2135 0.3819 0.1102
O28 O 0.2135 0.8819 0.1102
O29 O 0.8967 0.3819 0.7865
O30 O 0.8967 0.8819 0.7865
O31 O 0.1102 0.1181 0.2135
O32 O 0.1102 0.6181 0.2135
O33 O 0.1033 0.1181 0.8898
O34 O 0.1033 0.6181 0.8898
O35 O 0.7865 0.1181 0.8967
O36 O 0.7865 0.6181 0.8967
```

***

MnSb2O6: optimized geometry, GGA+U.

Output
Formation enthalpy at 0 K ... -17.68 eV/f.u.
Total energy ... -6.56 eV/atom

Cell and atoms, written as CIF:
```
data_MnSb2O6
_chemical_formula_sum 'Mn4 Sb8 O24'
_cell_length_a 6.7866
_cell_length_b 6.7781
_cell_length_c 10.6797
_cell_angle_alpha 108.50
_cell_angle_beta 71.48
_cell_angle_gamma 90.00
_space_group_name_H-M_alt 'P 1'
_space_group_IT_number 1
loop_
_space_group_symop_operation_xyz
'x,y,z'
loop_
_atom_site_label
_atom_site_type_symbol
_atom_site_fract_x
_atom_site_fract_y
_atom_site_fract_z
Mn1 Mn 0.3334 0.6666 0.3334
Mn2 Mn 0.0832 0.4170 0.8333
Mn3 Mn 0.8335 0.1666 0.3333
Mn4 Mn 0.5831 0.9170 0.8334
Sb1 Sb 0.9995 0.0005 0.0010
Sb2 Sb 0.4995 0.5005 0.0009
Sb3 Sb 0.6671 0.3329 0.6657
Sb4 Sb 0.1671 0.8329 0.6658
Sb5 Sb 0.4172 0.0828 0.1657
Sb6 Sb 0.9172 0.5828 0.1657
Sb7 Sb 0.2495 0.2505 0.5010
Sb8 Sb 0.7495 0.7504 0.5010
O1 O 0.3980 0.4166 0.8333
O2 O 0.8980 0.9166 0.8333
O3 O 0.3334 0.3518 0.3333
O4 O 0.8334 0.8519 0.3333
O5 O 0.3334 0.9813 0.3333
O6 O 0.8334 0.4813 0.3333
O7 O 0.7685 0.4166 0.8333
O8 O 0.2684 0.9166 0.8333
O9 O 0.7205 0.0787 0.1574
O10 O 0.2207 0.5787 0.1575
O11 O 0.5446 0.2546 0.5093
O12 O 0.0447 0.7545 0.5091
O13 O 0.4953 0.2056 0.0094
O14 O 0.9953 0.7056 0.0095
O15 O 0.1714 0.5295 0.6572
O16 O 0.6714 0.0294 0.6573
O17 O 0.4954 0.8038 0.0093
O18 O 0.9953 0.3039 0.0094
O19 O 0.1714 0.1278 0.6573
O20 O 0.6714 0.6280 0.6573
O21 O 0.1222 0.0786 0.1573
O22 O 0.6219 0.5787 0.1574
O23 O 0.9461 0.2547 0.5093
O24 O 0.4462 0.7546 0.5092
```

***

- Number 5 is which compound?
  MnSb2O6